OsOF4 (PBE, relaxed); MP2020-corrected energy = -5.909 eV/atom; crystal system = monoclinic; volume = 375 Å³ per cell; offset from the most stable computed form = 0 kJ/mol of formula units
1.0
13.0762 0.0000 0.0000
0.0000 5.6454 0.0000
0.0000 2.6318 5.0739
Os O F
4 4 16
Direct
0.6477 0.3814 0.3320 Os
0.3523 0.6186 0.6680 Os
0.8523 0.3814 0.8320 Os
0.1477 0.6186 0.1680 Os
0.3735 0.2887 0.8101 O
0.1265 0.2887 0.3101 O
0.8735 0.7113 0.6899 O
0.6265 0.7113 0.1899 O
0.4700 0.7389 0.7718 F
0.9700 0.2611 0.7282 F
0.5861 0.2682 0.6644 F
0.7864 0.4433 0.4726 F
0.2933 0.9575 0.5595 F
0.0861 0.7318 0.8356 F
0.0300 0.7389 0.2718 F
0.2136 0.5567 0.5274 F
0.7067 0.0425 0.4405 F
0.7933 0.0425 0.9405 F
0.2067 0.9575 0.0595 F
0.4139 0.7318 0.3356 F
0.9139 0.2682 0.1644 F
0.2864 0.5567 0.0274 F
0.5300 0.2611 0.2282 F
0.7136 0.4433 0.9726 F